w | The following is a PBE calculation of an optimized crystal structure of Na2Al2Si3O10, from Materials Project.

Output
For the calculated density, the calculation gives 2.5 g/cm³. The value obtained for the total magnetization is 0.00 μB per cell. Its piezoelectric modulus e_max is 4.12 C/m2.

Cell lengths 8.800, 8.800, 11.725 Å; angles 129.73, 129.73, 43.33 degrees
Fractional coordinates of all 34 atoms:
1 Na 0.135 0.135 0.355
2 Na 0.509 0.004 0.137
3 Na 0.865 0.865 0.645
4 Na 0.996 0.491 0.863
5 Al 0.152 0.586 0.287
6 Al 0.414 0.848 0.713
7 Al 0.434 0.383 0.783
8 Al 0.617 0.566 0.217
9 Si 0.144 0.856 0.000
10 Si 0.438 0.382 0.540
11 Si 0.618 0.562 0.460
12 Si 0.643 0.100 0.970
13 Si 0.900 0.357 0.030
14 Si 0.902 0.098 0.500
15 O 0.040 0.458 0.080
16 O 0.069 0.062 0.966
17 O 0.142 0.084 0.644
18 O 0.181 0.628 0.841
19 O 0.327 0.352 0.355
20 O 0.343 0.656 0.350
21 O 0.344 0.657 0.650
22 O 0.371 0.290 0.579
23 O 0.372 0.819 0.159
24 O 0.542 0.960 0.920
25 O 0.553 0.349 0.107
26 O 0.565 0.135 0.816
27 O 0.648 0.673 0.645
28 O 0.651 0.447 0.893
29 O 0.710 0.629 0.421
30 O 0.728 0.207 0.582
31 O 0.793 0.272 0.418
32 O 0.865 0.435 0.184
33 O 0.916 0.858 0.356
34 O 0.938 0.931 0.034


x | The following is a PBE calculation of an optimized crystal structure of Na2Al2Si3O10, from Materials Project.

Output
For the calculated density, the calculation gives 2.1 g/cm³. The value obtained for the total magnetization is 0.00 μB per cell.

Cell lengths 9.649, 9.648, 12.832 Å; angles 48.33, 48.31, 83.36 degrees
Fractional coordinates of all 34 atoms:
1 Na 0.291 0.709 0.356
2 Na 0.606 0.894 0.541
3 Na 0.709 0.291 0.644
4 Na 0.894 0.606 0.959
5 Al 0.036 0.161 0.766
6 Al 0.161 0.036 0.036
7 Al 0.214 0.484 0.089
8 Al 0.484 0.214 0.214
9 Si 0.048 0.181 0.520
10 Si 0.181 0.048 0.251
11 Si 0.487 0.487 0.513
12 Si 0.730 0.999 0.202
13 Si 0.737 0.737 0.763
14 Si 0.999 0.730 0.069
15 O 0.004 0.901 0.896
16 O 0.051 0.354 0.349
17 O 0.097 0.607 0.018
18 O 0.137 0.851 0.045
19 O 0.205 0.284 0.113
20 O 0.232 0.972 0.153
21 O 0.284 0.205 0.399
22 O 0.312 0.399 0.546
23 O 0.354 0.051 0.246
24 O 0.399 0.312 0.743
25 O 0.507 0.704 0.851
26 O 0.527 0.728 0.408
27 O 0.607 0.097 0.278
28 O 0.704 0.507 0.938
29 O 0.728 0.527 0.336
30 O 0.842 0.914 0.723
31 O 0.851 0.137 0.966
32 O 0.901 0.004 0.199
33 O 0.914 0.842 0.522
34 O 0.972 0.232 0.643


We find w to be the most stable, with the next structure 11 meV per atom higher.


w | The following is a PBE calculation of an optimized crystal structure of Na2Al2Si3O12, from Materials Project.

Output
For the calculated density, the calculation gives 2.2 g/cm³. The value obtained for the total magnetization is 8.00 μB per cell.

Cell lengths 9.883, 9.735, 13.044 Å; angles 48.81, 47.84, 83.35 degrees
Fractional coordinates of all 38 atoms:
1 Na 0.249 0.751 0.307
2 Na 0.557 0.943 0.499
3 Na 0.751 0.249 0.693
4 Na 0.943 0.557 0.001
5 Al 0.125 0.864 0.564
6 Al 0.686 0.803 0.125
7 Al 0.803 0.686 0.386
8 Al 0.864 0.125 0.447
9 Si 0.131 0.131 0.869
10 Si 0.365 0.634 0.560
11 Si 0.381 0.381 0.119
12 Si 0.634 0.365 0.441
13 Si 0.690 0.809 0.885
14 Si 0.809 0.690 0.616
15 O 0.025 0.761 0.541
16 O 0.047 0.941 0.094
17 O 0.128 0.337 0.527
18 O 0.156 0.332 0.203
19 O 0.184 0.360 0.783
20 O 0.239 0.735 0.629
21 O 0.242 0.723 0.913
22 O 0.332 0.156 0.309
23 O 0.337 0.128 0.008
24 O 0.360 0.184 0.673
25 O 0.449 0.734 0.352
26 O 0.467 0.577 0.066
27 O 0.577 0.467 0.890
28 O 0.578 0.709 0.489
29 O 0.621 0.854 0.011
30 O 0.709 0.578 0.225
31 O 0.723 0.242 0.122
32 O 0.734 0.449 0.465
33 O 0.735 0.239 0.396
34 O 0.761 0.025 0.672
35 O 0.785 0.898 0.516
36 O 0.854 0.621 0.515
37 O 0.898 0.785 0.801
38 O 0.941 0.047 0.918


x | The following is a PBE calculation of an optimized crystal structure of Na2Al2Si3O12, from Materials Project.

Output
For the calculated density, the calculation gives 2.2 g/cm³. The value obtained for the total magnetization is 8.00 μB per cell.

Cell lengths 9.785, 9.743, 12.954 Å; angles 48.58, 48.30, 83.11 degrees
Fractional coordinates of all 38 atoms:
1 Na 0.003 0.497 0.059
2 Na 0.191 0.809 0.247
3 Na 0.497 0.003 0.441
4 Na 0.809 0.191 0.753
5 Al 0.052 0.926 0.642
6 Al 0.608 0.870 0.198
7 Al 0.870 0.608 0.324
8 Al 0.926 0.052 0.380
9 Si 0.044 0.919 0.884
10 Si 0.097 0.366 0.331
11 Si 0.345 0.345 0.655
12 Si 0.366 0.097 0.206
13 Si 0.595 0.595 0.905
14 Si 0.919 0.044 0.153
15 O 0.003 0.495 0.373
16 O 0.037 0.157 0.538
17 O 0.103 0.503 0.565
18 O 0.121 0.877 0.755
19 O 0.156 0.261 0.881
20 O 0.157 0.037 0.268
21 O 0.261 0.156 0.702
22 O 0.275 0.984 0.422
23 O 0.369 0.548 0.094
24 O 0.403 0.579 0.458
25 O 0.421 0.685 0.747
26 O 0.495 0.003 0.129
27 O 0.503 0.103 0.829
28 O 0.548 0.369 0.989
29 O 0.579 0.403 0.560
30 O 0.685 0.421 0.147
31 O 0.690 0.792 0.671
32 O 0.712 0.982 0.213
33 O 0.792 0.690 0.847
34 O 0.828 0.931 0.975
35 O 0.877 0.121 0.247
36 O 0.931 0.828 0.266
37 O 0.982 0.712 0.093
38 O 0.984 0.275 0.319


We find x to be the most stable, with the next structure 17 meV per atom higher.


w | The following is a PBE calculation of an optimized crystal structure of Nb3AlP6O24, from Materials Project.

Output
For the calculated density, the calculation gives 3.0 g/cm³. The value obtained for the total magnetization is 0.00 μB per cell.

Cell lengths 8.957, 8.957, 8.957 Å; angles 58.17, 58.17, 58.17 degrees
Fractional coordinates of all 34 atoms:
1 Nb 0.000 0.000 0.000
2 Nb 0.218 0.218 0.218
3 Nb 0.719 0.719 0.719
4 Al 0.501 0.501 0.501
5 P 0.121 0.392 0.816
6 P 0.330 0.881 0.607
7 P 0.392 0.816 0.121
8 P 0.607 0.330 0.881
9 P 0.816 0.121 0.392
10 P 0.881 0.607 0.330
11 O 0.065 0.438 0.298
12 O 0.085 0.222 0.853
13 O 0.134 0.363 0.996
14 O 0.152 0.918 0.780
15 O 0.222 0.853 0.085
16 O 0.289 0.422 0.645
17 O 0.298 0.065 0.438
18 O 0.358 0.714 0.582
19 O 0.363 0.996 0.134
20 O 0.422 0.645 0.289
21 O 0.438 0.298 0.065
22 O 0.497 0.862 0.634
23 O 0.566 0.797 0.939
24 O 0.582 0.358 0.714
25 O 0.634 0.497 0.862
26 O 0.645 0.289 0.422
27 O 0.714 0.582 0.358
28 O 0.780 0.152 0.918
29 O 0.797 0.939 0.566
30 O 0.853 0.085 0.222
31 O 0.862 0.634 0.497
32 O 0.918 0.780 0.152
33 O 0.939 0.566 0.797
34 O 0.996 0.134 0.363


x | The following is a PBE calculation of an optimized crystal structure of Nb3AlP6O24, from Materials Project.

Output
For the calculated density, the calculation gives 3.0 g/cm³. The value obtained for the total magnetization is 0.00 μB per cell.

Cell lengths 8.699, 8.699, 22.417 Å; angles 90.00, 90.00, 120.00 degrees
Fractional coordinates of all 102 atoms:
1 Nb 0.000 0.000 0.000
2 Nb 0.000 0.000 0.215
3 Nb 0.000 0.000 0.508
4 Nb 0.333 0.667 0.166
5 Nb 0.333 0.667 0.389
6 Nb 0.333 0.667 0.666
7 Nb 0.333 0.667 0.882
8 Nb 0.667 0.333 0.338
9 Nb 0.667 0.333 0.833
10 Al 0.000 0.000 0.714
11 Al 0.667 0.333 0.049
12 Al 0.667 0.333 0.553
13 P 0.051 0.384 0.277
14 P 0.051 0.680 0.774
15 P 0.292 0.015 0.613
16 P 0.297 0.283 0.108
17 P 0.320 0.371 0.774
18 P 0.333 0.949 0.277
19 P 0.388 0.330 0.448
20 P 0.393 0.055 0.946
21 P 0.616 0.667 0.277
22 P 0.629 0.949 0.774
23 P 0.662 0.607 0.946
24 P 0.670 0.057 0.448
25 P 0.717 0.014 0.108
26 P 0.723 0.708 0.613
27 P 0.943 0.612 0.448
28 P 0.945 0.338 0.946
29 P 0.985 0.277 0.613
30 P 0.986 0.703 0.108
31 O 0.027 0.838 0.765
32 O 0.029 0.198 0.267
33 O 0.029 0.198 0.556
34 O 0.030 0.831 0.055
35 O 0.131 0.635 0.435
36 O 0.134 0.498 0.935
37 O 0.134 0.636 0.721
38 O 0.135 0.498 0.221
39 O 0.158 0.465 0.620
40 O 0.158 0.691 0.120
41 O 0.162 0.190 0.765
42 O 0.165 0.467 0.333
43 O 0.165 0.701 0.832
44 O 0.169 0.200 0.055
45 O 0.169 0.971 0.267
46 O 0.170 0.971 0.556
47 O 0.199 0.036 0.666
48 O 0.199 0.171 0.453
49 O 0.203 0.030 0.954
50 O 0.203 0.169 0.165
51 O 0.299 0.464 0.832
52 O 0.302 0.835 0.333
53 O 0.307 0.842 0.620
54 O 0.309 0.467 0.120
55 O 0.363 0.865 0.221
56 O 0.364 0.498 0.721
57 O 0.364 0.866 0.935
58 O 0.365 0.497 0.435
59 O 0.469 0.166 0.889
60 O 0.470 0.305 0.389
61 O 0.474 0.170 0.599
62 O 0.477 0.306 0.099
63 O 0.491 0.358 0.787
64 O 0.496 0.135 0.286
65 O 0.502 0.636 0.935
66 O 0.502 0.637 0.221
67 O 0.502 0.866 0.721
68 O 0.503 0.138 0.001
69 O 0.503 0.869 0.435
70 O 0.505 0.365 0.501
71 O 0.533 0.698 0.333
72 O 0.533 0.842 0.120
73 O 0.535 0.693 0.620
74 O 0.536 0.835 0.832
75 O 0.635 0.140 0.501
76 O 0.635 0.497 0.001
77 O 0.639 0.504 0.286
78 O 0.642 0.133 0.787
79 O 0.694 0.171 0.099
80 O 0.695 0.164 0.389
81 O 0.697 0.526 0.599
82 O 0.697 0.531 0.889
83 O 0.800 0.970 0.055
84 O 0.802 0.830 0.556
85 O 0.802 0.831 0.267
86 O 0.810 0.973 0.765
87 O 0.828 0.797 0.954
88 O 0.829 0.029 0.453
89 O 0.829 0.523 0.099
90 O 0.830 0.303 0.599
91 O 0.831 0.034 0.165
92 O 0.834 0.303 0.889
93 O 0.836 0.530 0.389
94 O 0.837 0.801 0.666
95 O 0.860 0.495 0.501
96 O 0.862 0.365 0.001
97 O 0.865 0.361 0.286
98 O 0.867 0.509 0.787
99 O 0.964 0.163 0.666
100 O 0.966 0.797 0.165
101 O 0.970 0.172 0.954
102 O 0.971 0.801 0.453


We find w to be the most stable, with the next structure 8 meV per atom higher.


w | The following is a PBE calculation of an optimized crystal structure of NdAl4, from Materials Project.

Output
For the calculated density, the calculation gives 4.0 g/cm³.

Cell lengths 6.440, 6.440, 6.440 Å; angles 141.26, 141.26, 55.94 degrees
Fractional coordinates of all 5 atoms:
1 Nd 0.000 0.000 0.000
2 Al 0.250 0.750 0.500
3 Al 0.389 0.389 0.000
4 Al 0.611 0.611 0.000
5 Al 0.750 0.250 0.500


x | The following is a PBE calculation of an optimized crystal structure of NdAl4, from Materials Project.

Output
For the calculated density, the calculation gives 4.1 g/cm³. The value obtained for the total magnetization is 0.02 μB per cell.

Cell lengths 8.661, 8.661, 8.661 Å; angles 150.36, 89.50, 98.03 degrees
Fractional coordinates of all 15 atoms:
1 Nd 0.000 0.000 0.000
2 Nd 0.301 0.970 0.331
3 Nd 0.638 0.970 0.669
4 Al 0.028 0.376 0.652
5 Al 0.046 0.227 0.818
6 Al 0.230 0.730 0.500
7 Al 0.275 0.597 0.677
8 Al 0.356 0.356 0.000
9 Al 0.409 0.227 0.182
10 Al 0.579 0.579 0.000
11 Al 0.590 0.743 0.846
12 Al 0.710 0.210 0.500
13 Al 0.724 0.376 0.348
14 Al 0.897 0.743 0.154
15 Al 0.920 0.597 0.323


We find w to be the most stable, with the next structure 18 meV per atom higher.


w | The following is a PBE calculation of an optimized crystal structure of TmAlNi4, from Materials Project.

Output
For the calculated density, the calculation gives 8.6 g/cm³.

Cell lengths 4.858, 4.858, 4.020 Å; angles 90.00, 90.00, 118.46 degrees
Fractional coordinates of all 6 atoms:
1 Tm 0.000 0.000 0.000
2 Al 0.500 0.500 0.500
3 Ni 0.000 0.500 0.500
4 Ni 0.334 0.666 0.000
5 Ni 0.500 0.000 0.500
6 Ni 0.666 0.334 0.000


x | The following is a PBE calculation of an optimized crystal structure of TmAlNi4, from Materials Project.

Output
For the calculated density, the calculation gives 8.5 g/cm³. The value obtained for the total magnetization is 0.01 μB per cell.

Cell lengths 5.022, 5.022, 3.854 Å; angles 90.00, 90.00, 120.00 degrees
Fractional coordinates of all 6 atoms:
1 Tm 0.000 0.000 0.000
2 Al 0.333 0.667 0.000
3 Ni 0.502 0.004 0.500
4 Ni 0.502 0.498 0.500
5 Ni 0.667 0.333 0.000
6 Ni 0.996 0.498 0.500


We find w to be the most stable, with the next structure 68 meV per atom higher.